An optimized crystal structure of Nd2TiGe2, computed with PBE.

The structure in CIF format:
```
data_Nd2TiGe2
_chemical_formula_sum 'Nd2 Ti1 Ge2'
_cell_length_a 3.0133
_cell_length_b 3.0133
_cell_length_c 14.6302
_cell_angle_alpha 90.00
_cell_angle_beta 90.00
_cell_angle_gamma 90.00
_space_group_name_H-M_alt 'P 1'
_space_group_IT_number 1
_space_group_name_Hall 'P 1'
loop_
_atom_site_label
_atom_site_type_symbol
_atom_site_fract_x
_atom_site_fract_y
_atom_site_fract_z
_atom_site_occupancy
Nd1 Nd 0.5000 0.5000 0.6213 1
Nd2 Nd 0.5000 0.5000 0.3787 1
Ti1 Ti 0.5000 0.5000 0.0000 1
Ge1 Ge 0.5000 0.5000 0.1729 1
Ge2 Ge 0.5000 0.5000 0.8271 1
```

Values from the calculation:
Formation enthalpy at 0 K   0.5825 eV/atom
Theoretical density   6.02 g/cm3
SG   P4/mmm, No. 123